DFT (PBE-GGA) results for a geometry-optimized La3AsBr3 structure.

```
28
Lattice="-6.106 6.106 6.106 6.106 -6.106 6.106 6.106 6.106 -6.106" Properties=species:S:1:pos:R:3 pbc="T T T"
La 1.639 1.527 -1.414
La 7.521 1.639 -1.527
La 1.527 -1.414 1.639
La 4.692 4.467 -1.527
La 4.467 1.527 1.414
La -1.414 1.639 1.527
La 4.467 -1.527 4.692
La 1.527 1.414 4.467
La 1.414 4.467 1.527
La 1.639 -1.527 7.521
La -1.527 7.521 1.639
La -1.527 4.692 4.467
As 4.580 1.527 -1.527
As 1.527 1.527 1.527
As 1.527 -1.527 4.580
As -1.527 4.580 1.527
Br 7.633 1.467 1.586
Br 7.633 -1.467 4.521
Br 4.521 7.633 -1.467
Br 4.639 1.586 4.580
Br 4.580 4.639 1.586
Br 1.586 7.633 1.467
Br 7.574 4.521 4.580
Br 1.586 4.580 4.639
Br 1.467 1.586 7.633
Br 4.580 7.574 4.521
Br -1.467 4.521 7.633
Br 4.521 4.580 7.574
```

* symmetry: I4_132 (214)
* E_form: -1.94 eV/atom
* uncorrected energy: -36.3 eV/f.u.